[1]
Here is a relaxed structure of Na2Hf4Ti4Si5S7O48 from Materials Project. Energies are from PBE-GGA.

Unit cell a=17.649 b=8.844 c=22.874 alpha=90.03 beta=89.74 gamma=120.11
Positions (direct):
O1 0.597 0.160 0.807
O2 0.155 0.459 0.468
O3 0.397 0.820 0.197
O4 0.345 0.534 0.243
O5 0.914 0.992 0.404
O6 0.774 0.841 0.473
O7 0.686 0.886 0.864
O8 0.089 0.701 0.754
O9 0.920 0.346 0.641
O10 0.913 0.796 0.303
O11 0.008 0.838 0.691
O12 0.756 0.636 0.864
O13 0.242 0.179 0.241
O14 0.007 0.184 0.907
O15 0.849 0.537 0.244
O16 0.245 0.351 0.423
O17 0.771 0.843 0.758
O18 0.591 0.981 0.196
O19 0.914 0.293 0.527
O20 0.100 0.032 0.589
O21 0.580 0.688 0.475
O22 0.730 0.303 0.031
O23 0.094 0.031 0.307
O24 0.269 0.845 0.759
O25 0.153 0.457 0.754
O26 0.422 0.485 0.426
O27 0.736 0.162 0.529
O28 0.684 0.488 0.365
O29 0.322 0.129 0.138
O30 0.415 0.515 0.748
O31 0.089 0.199 0.696
O32 0.582 0.460 0.973
O33 0.590 0.205 0.409
O34 0.345 0.156 0.743
O35 0.179 0.875 0.576
O36 0.153 0.849 0.970
O37 0.065 0.489 0.576
O38 0.254 0.867 0.363
O39 0.010 0.837 0.406
O40 0.413 0.535 0.027
O41 0.820 0.140 0.139
O42 0.818 0.502 0.925
O43 0.350 0.157 0.032
O44 0.924 0.318 0.245
O45 0.268 0.847 0.469
O46 0.229 0.294 0.743
O47 0.756 0.637 0.577
O48 0.921 0.536 0.030
O49 0.568 0.501 0.859
O50 0.732 0.165 0.244
O51 0.321 0.492 0.924
O52 0.061 0.498 0.860
O53 0.507 0.829 0.406
O54 0.900 0.979 0.697
O55 0.898 0.818 0.198
O56 0.246 0.134 0.926
O57 0.897 0.814 0.910
O58 0.394 0.974 0.408
O59 0.561 0.624 0.360
O60 0.603 0.028 0.302
O61 0.256 0.874 0.078
O62 0.607 0.036 0.588
O63 0.913 0.799 0.590
O64 0.271 0.701 0.974
O65 0.685 0.879 0.576
O66 0.396 0.976 0.697
O67 0.751 0.856 0.070
O68 0.588 0.698 0.762
O69 0.414 0.840 0.909
O70 0.081 0.466 0.259
O71 0.420 0.494 0.142
O72 0.590 0.978 0.912
O73 0.661 0.479 0.764
O74 0.747 0.141 0.924
O75 0.741 0.301 0.739
O76 0.422 0.817 0.590
O77 0.250 0.643 0.570
O78 0.753 0.869 0.357
O79 0.923 0.359 0.926
O80 0.411 0.033 0.803
O81 0.319 0.500 0.638
O82 0.567 0.643 0.077
O83 0.915 0.521 0.739
O84 0.655 0.851 0.255
O85 0.435 0.358 0.634
O86 0.232 0.304 0.031
O87 0.411 0.790 0.302
O88 0.589 0.477 0.254
O89 0.484 0.807 0.809
O90 0.101 0.176 0.802
O91 0.935 0.514 0.135
O92 0.484 0.818 0.097
O93 0.821 0.514 0.637
O94 0.268 0.694 0.259
O95 0.070 0.635 0.359
O96 0.316 0.129 0.422
O97 0.600 0.169 0.091
O98 0.680 0.485 0.078
O99 0.064 0.642 0.076
O100 0.847 0.174 0.026
O101 0.983 0.802 0.805
O102 0.510 0.177 0.907
O103 0.514 0.825 0.694
O104 0.184 0.491 0.078
O105 0.654 0.458 0.470
O106 0.923 0.035 0.093
O107 0.231 0.158 0.530
O108 0.746 0.358 0.425
O109 0.084 0.705 0.472
O110 0.984 0.181 0.304
O111 0.078 0.470 0.975
O112 0.090 0.975 0.909
O113 0.846 0.157 0.743
O114 0.770 0.691 0.258
O115 0.425 0.351 0.926
O116 0.183 0.485 0.362
O117 0.420 0.308 0.529
O118 0.105 0.181 0.092
O119 0.158 0.839 0.265
O120 0.983 0.792 0.089
O121 0.013 0.210 0.198
O122 0.088 0.202 0.410
O123 0.913 0.036 0.802
O124 0.983 0.147 0.596
O125 0.413 0.026 0.091
O126 0.348 0.522 0.526
O127 0.508 0.177 0.192
O128 0.746 0.135 0.636
O129 0.585 0.208 0.692
O130 0.415 0.308 0.239
O131 0.184 0.879 0.865
O132 0.742 0.355 0.137
O133 0.769 0.689 0.970
O134 0.923 0.495 0.424
O135 0.246 0.358 0.137
O136 0.241 0.128 0.636
O137 0.657 0.853 0.970
O138 0.850 0.541 0.531
O139 0.483 0.164 0.305
O140 0.483 0.174 0.587
O141 0.083 0.965 0.194
O142 0.821 0.149 0.425
O143 0.564 0.488 0.574
O144 0.252 0.637 0.858
Si1 0.523 0.370 0.916
Si2 0.316 0.674 0.914
Si3 0.814 0.957 0.413
Si4 0.021 0.376 0.917
Si5 0.145 0.009 0.250
Si6 0.472 0.623 0.087
Si7 0.501 0.715 0.754
Si8 0.002 0.716 0.748
Si9 0.835 0.042 0.082
Si10 0.971 0.318 0.588
Si11 0.502 0.288 0.248
Si12 0.336 0.631 0.583
Si13 0.520 0.664 0.418
Si14 0.022 0.665 0.417
Si15 0.644 0.282 0.749
Ti1 0.996 0.991 0.647
Ti2 0.347 0.368 0.975
Ti3 0.340 0.356 0.481
Ti4 0.495 0.001 0.145
Ti5 0.339 0.331 0.191
Ti6 0.503 0.001 0.853
Ti7 0.653 0.638 0.807
Ti8 0.159 0.678 0.311
Ti9 0.005 0.994 0.358
Ti10 0.845 0.322 0.478
Ti11 0.838 0.346 0.692
Ti12 0.838 0.318 0.977
Hf1 0.171 0.660 0.019
Hf2 0.671 0.684 0.520
Hf3 0.996 0.990 0.858
Hf4 0.660 0.664 0.312
Hf5 0.833 0.327 0.185
Hf6 0.338 0.349 0.688
Hf7 0.162 0.657 0.812
Hf8 0.505 0.996 0.646
Hf9 0.659 0.659 0.025
Hf10 0.159 0.658 0.527
Hf11 0.497 0.002 0.357
Hf12 0.003 0.001 0.143
S1 0.856 0.000 0.750
S2 0.170 0.960 0.918
S3 0.168 0.379 0.415
S4 0.642 0.002 0.248
S5 0.807 0.657 0.917
S6 0.195 0.335 0.084
S7 0.306 0.953 0.416
S8 0.670 0.380 0.418
S9 0.477 0.332 0.581
S10 0.189 0.051 0.583
S11 0.858 0.714 0.251
S12 0.976 0.619 0.081
S13 0.357 0.000 0.751
S14 0.688 0.327 0.083
S15 0.695 0.058 0.583
S16 0.354 0.710 0.250
S17 0.334 0.051 0.084
S18 0.141 0.280 0.748
S19 0.834 0.617 0.584
S20 0.668 0.958 0.916
S21 0.002 0.291 0.252
Na1 0.832 0.340 0.830
Na2 0.334 0.329 0.332
Na3 0.834 0.332 0.341
Na4 0.996 0.999 0.500
Na5 0.495 0.996 0.993
Na6 0.340 0.346 0.837

Results
Corrected total energy (MP2020 scheme): -8.066 eV per atom
E_form: -2814 meV/atom
Space group: P1
VASP energy: -1594.95 eV/cell
Calculated volume: 14.708 A^3/atom

---

[2]
Here is a relaxed structure of NdMg20Ni2 from Materials Project. Energies are from PBE-GGA.

Unit cell a=11.205 b=11.205 c=11.205 alpha=60.00 beta=60.00 gamma=60.00
Positions (direct):
Mg1 0.413 0.954 0.954
Mg2 0.382 0.118 0.382
Mg3 0.413 0.954 0.679
Mg4 0.571 0.296 0.296
Mg5 0.296 0.837 0.571
Mg6 0.132 0.868 0.868
Mg7 0.296 0.571 0.296
Mg8 0.118 0.118 0.382
Mg9 0.868 0.868 0.132
Mg10 0.625 0.625 0.625
Mg11 0.118 0.382 0.382
Mg12 0.296 0.296 0.571
Mg13 0.868 0.132 0.132
Mg14 0.679 0.413 0.954
Mg15 0.954 0.413 0.954
Mg16 0.296 0.571 0.837
Mg17 0.382 0.118 0.118
Mg18 0.954 0.413 0.679
Mg19 0.954 0.954 0.413
Mg20 0.132 0.132 0.868
Mg21 0.954 0.954 0.679
Mg22 0.296 0.296 0.837
Mg23 0.837 0.296 0.296
Mg24 0.118 0.382 0.118
Mg25 0.679 0.954 0.954
Mg26 0.954 0.679 0.413
Mg27 0.132 0.868 0.132
Mg28 0.625 0.125 0.625
Mg29 0.571 0.837 0.296
Mg30 0.954 0.679 0.954
Mg31 0.125 0.625 0.625
Mg32 0.837 0.296 0.571
Mg33 0.679 0.954 0.413
Mg34 0.837 0.571 0.296
Mg35 0.571 0.296 0.837
Mg36 0.296 0.837 0.296
Mg37 0.382 0.382 0.118
Mg38 0.625 0.625 0.125
Mg39 0.868 0.132 0.868
Mg40 0.413 0.679 0.954
Ni1 0.125 0.125 0.125
Ni2 0.125 0.625 0.125
Ni3 0.625 0.125 0.125
Ni4 0.125 0.125 0.625
Nd1 0.500 0.500 0.500
Nd2 0.750 0.750 0.750

Results
E_form: -70 meV/atom
Space group: Fd-3m
VASP energy: -99.87 eV/cell
Calculated volume: 21.625 A^3/atom

---

[3]
Here is a relaxed structure of BaLaEuSbO6 from Materials Project. Energies are from PBE-GGA.

Unit cell a=6.067 b=6.117 c=8.623 alpha=90.39 beta=90.47 gamma=90.06
Positions (direct):
Eu1 0.009 0.963 0.747
Eu2 0.991 0.037 0.253
La1 0.000 0.500 0.000
La2 0.500 0.000 0.500
O1 0.734 0.303 0.472
O2 0.185 0.228 0.549
O3 0.063 0.454 0.271
O4 0.937 0.546 0.729
O5 0.303 0.738 0.959
O6 0.763 0.806 0.053
O7 0.697 0.262 0.041
O8 0.403 0.995 0.228
O9 0.597 0.005 0.772
O10 0.815 0.772 0.451
O11 0.237 0.194 0.947
O12 0.266 0.697 0.528
Ba1 0.506 0.527 0.250
Ba2 0.494 0.473 0.750
Sb1 0.000 0.500 0.500
Sb2 0.500 0.000 0.000

Results
Polymorph energy (0 for the lowest one): 0.000 eV per atom
Corrected total energy (MP2020 scheme): -8.099 eV per atom
E_form: -3006 meV/atom
Space group: P-1
VASP energy: -153.74 eV/cell
Calculated volume: 16.000 A^3/atom

---

[4]
Here is a relaxed structure of Tb8O13 from Materials Project. Energies are from PBE-GGA.

Unit cell a=9.370 b=9.396 c=9.441 alpha=108.66 beta=111.41 gamma=108.08
Positions (direct):
O1 0.742 0.767 0.728
O2 0.484 0.235 0.963
O3 0.242 0.755 0.747
O4 0.713 0.009 0.955
O5 0.975 0.484 0.240
O6 0.739 0.232 0.250
O7 0.262 0.736 0.275
O8 0.475 0.239 0.471
O9 0.728 0.956 0.472
O10 0.249 0.024 0.041
O11 0.042 0.036 0.754
O12 0.764 0.257 0.756
O13 0.268 0.503 0.480
O14 0.228 0.482 0.954
O15 0.024 0.269 0.539
O16 0.991 0.993 0.239
O17 0.531 0.758 0.018
O18 0.001 0.722 0.973
O19 0.268 0.011 0.542
O20 0.788 0.495 0.538
O21 0.479 0.983 0.238
O22 0.502 0.492 0.752
O23 0.042 0.255 0.043
O24 0.503 0.508 0.266
O25 0.758 0.536 0.026
O26 0.951 0.741 0.460
Tb1 0.984 0.247 0.260
Tb2 0.729 0.220 0.483
Tb3 0.241 0.970 0.264
Tb4 0.193 0.726 0.479
Tb5 0.732 0.468 0.249
Tb6 0.756 0.768 0.974
Tb7 0.999 0.774 0.740
Tb8 0.473 0.729 0.220
Tb9 0.011 0.493 0.021
Tb10 0.812 0.039 0.774
Tb11 0.275 0.527 0.745
Tb12 0.525 0.264 0.746
Tb13 0.267 0.268 0.008
Tb14 0.526 0.500 0.512
Tb15 0.999 0.004 0.492
Tb16 0.491 0.995 0.009

Results
Corrected total energy (MP2020 scheme): -8.557 eV per atom
E_form: -3728 meV/atom
Space group: P1
VASP energy: -341.51 eV/cell
Calculated volume: 15.271 A^3/atom